Entry from the Materials Project database: Sr2NdVO6 after structural relaxation (PBE+U).

## Properties
**MP2020-corrected energy**: -77.2 eV per cell
**Calculated density**: 5.3 g/cm3
**Symmetry**: Fm-3m
**Formation energy from the elements**: -3.03 eV/atom
**Total magnetization**: 0.00 μB/cell
**E**: -71.4 eV per cell

Lattice parameters (Å, degrees): 5.929 5.929 5.929 60.00 60.00 60.00
Element x y z (fractional)
Sr 0.250 0.250 0.250
Sr 0.750 0.750 0.750
Nd 0.000 0.000 0.000
V 0.500 0.500 0.500
O 0.273 0.273 0.727
O 0.273 0.727 0.273
O 0.273 0.727 0.727
O 0.727 0.273 0.273
O 0.727 0.273 0.727
O 0.727 0.727 0.273